Entry from the Materials Project: a relaxed LiMnPCO7 crystal (PBE with a Hubbard U).

Unit cell a=6.240 b=8.421 c=10.257 alpha=85.84 beta=90.00 gamma=90.00
Fractional coordinates of all 44 atoms:
1 Li 0.971 0.742 0.626
2 Li 0.529 0.742 0.126
3 Li 0.029 0.258 0.374
4 Li 0.471 0.258 0.874
5 Mn 0.250 0.670 0.354
6 Mn 0.250 0.670 0.854
7 Mn 0.750 0.330 0.646
8 Mn 0.750 0.330 0.146
9 P 0.757 0.574 0.388
10 P 0.743 0.574 0.888
11 P 0.243 0.426 0.612
12 P 0.257 0.426 0.112
13 C 0.245 0.949 0.395
14 C 0.255 0.949 0.895
15 C 0.755 0.051 0.605
16 C 0.745 0.051 0.105
17 O 0.262 0.894 0.279
18 O 0.768 0.910 0.582
19 O 0.238 0.894 0.779
20 O 0.241 0.828 0.487
21 O 0.732 0.910 0.082
22 O 0.259 0.828 0.987
23 O 0.946 0.686 0.348
24 O 0.559 0.675 0.342
25 O 0.941 0.675 0.842
26 O 0.554 0.686 0.848
27 O 0.231 0.584 0.679
28 O 0.761 0.535 0.539
29 O 0.269 0.584 0.179
30 O 0.739 0.535 0.039
31 O 0.239 0.465 0.461
32 O 0.769 0.416 0.321
33 O 0.261 0.465 0.961
34 O 0.731 0.416 0.821
35 O 0.054 0.314 0.652
36 O 0.441 0.325 0.658
37 O 0.446 0.314 0.152
38 O 0.059 0.325 0.158
39 O 0.759 0.172 0.513
40 O 0.232 0.090 0.418
41 O 0.741 0.172 0.013
42 O 0.738 0.106 0.721
43 O 0.268 0.090 0.918
44 O 0.762 0.106 0.221

Summary:
**Offset from the most stable computed form**: 1.0 kJ/mol of atoms
**DFT total energy**: -7.08 eV/atom
**Total magnetic moment**: 3.00 μB per formula unit
**Energy of formation from the pure elements**: -2.18 eV per atom

=====

Entry from the Materials Project: a relaxed LiMnPCO7 crystal (PBE with a Hubbard U).

Unit cell a=5.117 b=6.237 c=16.672 alpha=90.96 beta=94.26 gamma=90.27
Fractional coordinates of all 44 atoms:
1 Li 0.756 0.967 0.131
2 Li 0.242 0.472 0.369
3 Li 0.754 0.528 0.631
4 Li 0.248 0.469 0.871
5 Mn 0.206 0.254 0.165
6 Mn 0.794 0.762 0.335
7 Mn 0.206 0.248 0.665
8 Mn 0.794 0.747 0.835
9 P 0.277 0.751 0.213
10 P 0.724 0.253 0.287
11 P 0.276 0.744 0.713
12 P 0.724 0.252 0.787
13 C 0.290 0.245 0.025
14 C 0.711 0.737 0.475
15 C 0.290 0.261 0.525
16 C 0.709 0.751 0.975
17 O 0.054 0.247 0.052
18 O 0.660 0.763 0.046
19 O 0.471 0.229 0.086
20 O 0.175 0.943 0.161
21 O 0.208 0.557 0.157
22 O 0.857 0.234 0.208
23 O 0.578 0.774 0.232
24 O 0.422 0.273 0.268
25 O 0.143 0.740 0.292
26 O 0.792 0.064 0.344
27 O 0.827 0.450 0.338
28 O 0.528 0.736 0.413
29 O 0.337 0.277 0.454
30 O 0.945 0.754 0.448
31 O 0.056 0.241 0.552
32 O 0.662 0.722 0.546
33 O 0.472 0.262 0.586
34 O 0.207 0.945 0.665
35 O 0.176 0.558 0.655
36 O 0.858 0.265 0.707
37 O 0.578 0.720 0.733
38 O 0.423 0.278 0.767
39 O 0.142 0.732 0.793
40 O 0.791 0.051 0.835
41 O 0.826 0.438 0.845
42 O 0.528 0.731 0.914
43 O 0.338 0.262 0.954
44 O 0.944 0.761 0.948

Summary:
**Offset from the most stable computed form**: 0.8 kJ/mol of atoms
**DFT total energy**: -7.08 eV/atom
**Total magnetic moment**: 3.00 μB per formula unit
**Energy of formation from the pure elements**: -2.18 eV per atom

=====

Entry from the Materials Project: a relaxed LiMnPCO7 crystal (PBE with a Hubbard U).

Unit cell a=6.218 b=5.160 c=8.695 alpha=86.46 beta=90.00 gamma=90.00
Fractional coordinates of all 22 atoms:
1 Li 0.975 0.220 0.205
2 Li 0.475 0.780 0.795
3 Mn 0.754 0.787 0.341
4 Mn 0.254 0.213 0.659
5 P 0.258 0.726 0.430
6 P 0.758 0.274 0.570
7 C 0.748 0.722 0.067
8 C 0.248 0.278 0.933
9 O 0.450 0.793 0.324
10 O 0.758 0.952 0.127
11 O 0.266 0.466 0.822
12 O 0.766 0.534 0.178
13 O 0.563 0.185 0.671
14 O 0.767 0.136 0.417
15 O 0.950 0.207 0.676
16 O 0.258 0.048 0.873
17 O 0.063 0.815 0.329
18 O 0.247 0.428 0.471
19 O 0.717 0.687 0.930
20 O 0.217 0.313 0.070
21 O 0.747 0.572 0.529
22 O 0.267 0.864 0.583

Summary:
**Offset from the most stable computed form**: 0.1 kJ/mol of atoms
**DFT total energy**: -7.09 eV/atom
**Total magnetic moment**: 3.00 μB per formula unit
**Energy of formation from the pure elements**: -2.19 eV per atom

=====

Entry from the Materials Project: a relaxed LiMnPCO7 crystal (PBE with a Hubbard U).

Unit cell a=5.185 b=6.230 c=8.606 alpha=90.88 beta=93.72 gamma=90.93
Fractional coordinates of all 22 atoms:
1 Li 0.773 0.958 0.211
2 Li 0.227 0.042 0.789
3 Mn 0.209 0.745 0.338
4 Mn 0.791 0.255 0.662
5 P 0.277 0.245 0.431
6 P 0.723 0.755 0.569
7 C 0.264 0.771 0.062
8 C 0.736 0.229 0.938
9 O 0.706 0.196 0.075
10 O 0.039 0.748 0.125
11 O 0.455 0.756 0.172
12 O 0.193 0.055 0.319
13 O 0.203 0.441 0.334
14 O 0.573 0.235 0.472
15 O 0.861 0.766 0.414
16 O 0.139 0.234 0.586
17 O 0.427 0.765 0.528
18 O 0.797 0.559 0.666
19 O 0.807 0.945 0.681
20 O 0.545 0.244 0.828
21 O 0.961 0.252 0.875
22 O 0.294 0.804 0.925

Summary:
**Offset from the most stable computed form**: 0.0 kJ/mol of atoms
**DFT total energy**: -7.09 eV/atom
**Total magnetic moment**: 3.00 μB per formula unit
**Energy of formation from the pure elements**: -2.19 eV per atom

=====

Entry from the Materials Project: a relaxed LiMnPCO7 crystal (PBE with a Hubbard U).

Unit cell a=6.232 b=8.374 c=10.230 alpha=85.81 beta=90.00 gamma=90.00
Fractional coordinates of all 44 atoms:
1 Li 0.531 0.743 0.877
2 Li 0.969 0.743 0.377
3 Li 0.031 0.257 0.623
4 Li 0.469 0.257 0.123
5 Mn 0.252 0.670 0.603
6 Mn 0.248 0.670 0.103
7 Mn 0.752 0.330 0.897
8 Mn 0.748 0.330 0.397
9 P 0.753 0.574 0.638
10 P 0.747 0.574 0.138
11 P 0.253 0.426 0.862
12 P 0.247 0.426 0.362
13 C 0.250 0.949 0.645
14 C 0.250 0.949 0.145
15 C 0.750 0.051 0.855
16 C 0.750 0.051 0.355
17 O 0.244 0.895 0.527
18 O 0.736 0.909 0.831
19 O 0.256 0.895 0.027
20 O 0.272 0.828 0.735
21 O 0.764 0.909 0.331
22 O 0.228 0.828 0.235
23 O 0.942 0.688 0.598
24 O 0.556 0.672 0.591
25 O 0.944 0.672 0.091
26 O 0.558 0.688 0.098
27 O 0.277 0.585 0.928
28 O 0.741 0.534 0.789
29 O 0.223 0.585 0.428
30 O 0.759 0.534 0.289
31 O 0.241 0.466 0.711
32 O 0.777 0.415 0.572
33 O 0.259 0.466 0.211
34 O 0.723 0.415 0.072
35 O 0.056 0.328 0.909
36 O 0.442 0.312 0.902
37 O 0.444 0.328 0.409
38 O 0.058 0.312 0.402
39 O 0.772 0.172 0.765
40 O 0.236 0.091 0.669
41 O 0.728 0.172 0.265
42 O 0.744 0.105 0.973
43 O 0.264 0.091 0.169
44 O 0.756 0.105 0.473

Summary:
**Offset from the most stable computed form**: 0.8 kJ/mol of atoms
**DFT total energy**: -7.08 eV/atom
**Total magnetic moment**: 3.00 μB per formula unit
**Energy of formation from the pure elements**: -2.18 eV per atom

=====

Entry from the Materials Project: a relaxed LiMnPCO7 crystal (PBE with a Hubbard U).

Unit cell a=6.244 b=9.486 c=10.204 alpha=61.65 beta=90.00 gamma=90.00
Fractional coordinates of all 44 atoms:
1 Li 0.468 0.261 0.495
2 Li 0.032 0.261 0.995
3 Li 0.532 0.739 0.505
4 Li 0.968 0.739 0.005
5 Mn 0.749 0.329 0.688
6 Mn 0.751 0.329 0.188
7 Mn 0.251 0.671 0.312
8 Mn 0.249 0.671 0.812
9 P 0.250 0.425 0.676
10 P 0.250 0.425 0.176
11 P 0.750 0.575 0.324
12 P 0.750 0.575 0.824
13 C 0.742 0.048 0.372
14 C 0.758 0.048 0.872
15 C 0.258 0.952 0.628
16 C 0.242 0.952 0.128
17 O 0.744 0.102 0.726
18 O 0.756 0.102 0.226
19 O 0.267 0.094 0.533
20 O 0.735 0.170 0.401
21 O 0.233 0.094 0.033
22 O 0.765 0.170 0.901
23 O 0.054 0.324 0.681
24 O 0.441 0.312 0.689
25 O 0.059 0.312 0.189
26 O 0.446 0.324 0.181
27 O 0.728 0.415 0.469
28 O 0.260 0.463 0.309
29 O 0.772 0.415 0.969
30 O 0.240 0.463 0.809
31 O 0.740 0.537 0.691
32 O 0.272 0.585 0.531
33 O 0.760 0.537 0.191
34 O 0.228 0.585 0.031
35 O 0.946 0.676 0.319
36 O 0.559 0.688 0.311
37 O 0.554 0.676 0.819
38 O 0.941 0.688 0.811
39 O 0.265 0.830 0.599
40 O 0.733 0.906 0.467
41 O 0.235 0.830 0.099
42 O 0.767 0.906 0.967
43 O 0.256 0.898 0.274
44 O 0.244 0.898 0.774

Summary:
**Offset from the most stable computed form**: 1.1 kJ/mol of atoms
**DFT total energy**: -7.08 eV/atom
**Total magnetic moment**: 3.00 μB per formula unit
**Energy of formation from the pure elements**: -2.18 eV per atom

=====

Entry from the Materials Project: a relaxed LiMnPCO7 crystal (PBE with a Hubbard U).

Unit cell a=6.240 b=5.116 c=16.709 alpha=85.84 beta=90.00 gamma=90.00
Fractional coordinates of all 44 atoms:
1 Li 0.471 0.242 0.132
2 Li 0.971 0.758 0.368
3 Li 0.029 0.242 0.632
4 Li 0.529 0.758 0.868
5 Mn 0.760 0.795 0.165
6 Mn 0.260 0.205 0.335
7 Mn 0.740 0.795 0.665
8 Mn 0.240 0.205 0.835
9 P 0.254 0.723 0.213
10 P 0.754 0.277 0.287
11 P 0.246 0.723 0.713
12 P 0.746 0.277 0.787
13 C 0.734 0.710 0.026
14 C 0.234 0.290 0.474
15 C 0.766 0.710 0.526
16 C 0.266 0.290 0.974
17 O 0.750 0.945 0.053
18 O 0.280 0.337 0.045
19 O 0.735 0.528 0.087
20 O 0.063 0.792 0.157
21 O 0.448 0.825 0.162
22 O 0.739 0.143 0.208
23 O 0.275 0.421 0.233
24 O 0.775 0.579 0.267
25 O 0.239 0.857 0.292
26 O 0.948 0.175 0.338
27 O 0.563 0.208 0.343
28 O 0.235 0.472 0.413
29 O 0.780 0.663 0.455
30 O 0.250 0.055 0.447
31 O 0.750 0.945 0.553
32 O 0.220 0.337 0.545
33 O 0.765 0.528 0.587
34 O 0.052 0.825 0.662
35 O 0.437 0.792 0.657
36 O 0.761 0.143 0.708
37 O 0.225 0.421 0.733
38 O 0.725 0.579 0.767
39 O 0.261 0.857 0.792
40 O 0.937 0.208 0.843
41 O 0.552 0.175 0.838
42 O 0.265 0.472 0.913
43 O 0.720 0.663 0.955
44 O 0.250 0.055 0.947

Summary:
**Offset from the most stable computed form**: 0.8 kJ/mol of atoms
**DFT total energy**: -7.08 eV/atom
**Total magnetic moment**: 3.00 μB per formula unit
**Energy of formation from the pure elements**: -2.18 eV per atom

=====

Entry from the Materials Project: a relaxed LiMnPCO7 crystal (PBE with a Hubbard U).

Unit cell a=6.214 b=9.699 c=10.178 alpha=117.62 beta=89.48 gamma=91.18
Fractional coordinates of all 44 atoms:
1 Li 0.018 0.766 0.764
2 Li 0.489 0.760 0.260
3 Li 0.512 0.231 0.737
4 Li 0.520 0.241 0.242
5 Mn 0.751 0.661 0.933
6 Mn 0.745 0.662 0.434
7 Mn 0.244 0.338 0.568
8 Mn 0.254 0.339 0.067
9 P 0.255 0.572 0.924
10 P 0.249 0.571 0.425
11 P 0.755 0.427 0.576
12 P 0.744 0.429 0.076
13 C 0.745 0.935 0.610
14 C 0.736 0.934 0.107
15 C 0.240 0.067 0.890
16 C 0.285 0.067 0.393
17 O 0.771 0.877 0.963
18 O 0.743 0.878 0.464
19 O 0.223 0.929 0.798
20 O 0.770 0.819 0.644
21 O 0.304 0.930 0.302
22 O 0.723 0.817 0.141
23 O 0.061 0.678 0.947
24 O 0.449 0.670 0.915
25 O 0.049 0.658 0.419
26 O 0.436 0.687 0.441
27 O 0.800 0.581 0.718
28 O 0.243 0.536 0.559
29 O 0.715 0.584 0.219
30 O 0.283 0.537 0.058
31 O 0.725 0.463 0.941
32 O 0.232 0.415 0.782
33 O 0.714 0.464 0.444
34 O 0.278 0.416 0.281
35 O 0.942 0.313 0.539
36 O 0.557 0.339 0.596
37 O 0.562 0.311 0.066
38 O 0.950 0.345 0.073
39 O 0.263 0.183 0.856
40 O 0.723 0.072 0.701
41 O 0.290 0.185 0.359
42 O 0.716 0.072 0.196
43 O 0.256 0.122 0.537
44 O 0.232 0.122 0.035

Summary:
**Offset from the most stable computed form**: 0.2 kJ/mol of atoms
**DFT total energy**: -7.09 eV/atom
**Total magnetic moment**: 3.00 μB per formula unit
**Energy of formation from the pure elements**: -2.19 eV per atom

=====

Question: Look up the total magnetic moment of the first one.
Answer: 3.00 μB per formula unit

=====

Question: Which formula does entry 1 have?
Answer: LiMnPCO7